P) DFT (PBE-GGA) results for CuP2H4O4 after structural relaxation.

**M_tot**: 4.00 μB per cell
**Space-group type**: Pbca

Geometry as POSCAR:
```
CuP2H4O4
1.0
5.522 0.000 0.000
0.000 6.402 0.000
0.000 0.000 14.371
Cu P H O
4 8 16 16
direct
0.000 0.000 0.000 Cu
0.000 0.500 0.500 Cu
0.500 0.000 0.500 Cu
0.500 0.500 0.000 Cu
0.055 0.112 0.372 P
0.055 0.388 0.872 P
0.445 0.612 0.372 P
0.445 0.888 0.872 P
0.555 0.112 0.128 P
0.555 0.388 0.628 P
0.945 0.612 0.128 P
0.945 0.888 0.628 P
0.033 0.221 0.286 H
0.033 0.279 0.786 H
0.071 0.078 0.643 H
0.071 0.422 0.143 H
0.429 0.578 0.643 H
0.429 0.922 0.143 H
0.467 0.721 0.286 H
0.467 0.779 0.786 H
0.533 0.221 0.214 H
0.533 0.279 0.714 H
0.571 0.078 0.857 H
0.571 0.422 0.357 H
0.929 0.578 0.857 H
0.929 0.922 0.357 H
0.967 0.721 0.214 H
0.967 0.779 0.714 H
0.088 0.724 0.051 O
0.088 0.776 0.551 O
0.174 0.570 0.384 O
0.174 0.930 0.884 O
0.326 0.070 0.384 O
0.326 0.430 0.884 O
0.412 0.224 0.051 O
0.412 0.276 0.551 O
0.588 0.724 0.449 O
0.588 0.776 0.949 O
0.674 0.570 0.116 O
0.674 0.930 0.616 O
0.826 0.070 0.116 O
0.826 0.430 0.616 O
0.912 0.224 0.449 O
0.912 0.276 0.949 O
```

---

Q) DFT (PBE-GGA) results for CuP2H4O4 after structural relaxation.

**M_tot**: 1.75 μB per cell
**Space-group type**: Pmma

Geometry as POSCAR:
```
CuP2H4O4
1.0
6.739 0.000 0.000
0.000 5.452 0.000
0.000 0.000 7.323
Cu P H O
2 4 8 8
direct
0.000 0.000 0.000 Cu
0.500 0.000 0.000 Cu
0.250 0.000 0.363 P
0.250 0.500 0.856 P
0.750 0.000 0.637 P
0.750 0.500 0.144 P
0.084 0.500 0.738 H
0.250 0.203 0.482 H
0.250 0.797 0.482 H
0.416 0.500 0.738 H
0.584 0.500 0.262 H
0.750 0.203 0.518 H
0.750 0.797 0.518 H
0.916 0.500 0.262 H
0.053 0.000 0.259 O
0.250 0.261 0.965 O
0.250 0.739 0.965 O
0.447 0.000 0.259 O
0.553 0.000 0.741 O
0.750 0.261 0.035 O
0.750 0.739 0.035 O
0.947 0.000 0.741 O
```

---

Relative to the most stable one, in kJ/mol of atoms, the structures come out at P) 0.0; Q) 2.1.

---

P) DFT (PBE-GGA) results for Rb2Cu4H5S4O20 after structural relaxation.

**M_tot**: 1.00 μB per cell
**Space-group type**: P-1

Geometry as POSCAR:
```
Rb2Cu4H5S4O20
1.0
6.506 0.000 0.000
0.189 7.988 0.000
0.076 3.373 8.088
Rb Cu H S O
2 4 5 4 20
direct
0.000 0.000 0.000 Rb
0.500 0.500 0.500 Rb
0.247 0.748 0.749 Cu
0.249 0.246 0.255 Cu
0.751 0.754 0.745 Cu
0.753 0.252 0.251 Cu
0.000 0.487 0.199 H
0.000 0.513 0.801 H
0.495 0.997 0.706 H
0.500 0.000 0.500 H
0.505 0.003 0.294 H
0.003 0.790 0.425 S
0.499 0.710 0.071 S
0.501 0.290 0.929 S
0.997 0.210 0.575 S
0.002 0.013 0.673 O
0.003 0.381 0.168 O
0.005 0.683 0.321 O
0.191 0.260 0.468 O
0.192 0.739 0.533 O
0.309 0.762 0.963 O
0.311 0.239 0.038 O
0.497 0.488 0.829 O
0.497 0.816 0.176 O
0.499 0.910 0.651 O
0.501 0.090 0.349 O
0.503 0.184 0.824 O
0.503 0.512 0.171 O
0.689 0.761 0.962 O
0.691 0.238 0.037 O
0.808 0.261 0.467 O
0.809 0.740 0.532 O
0.995 0.317 0.679 O
0.997 0.619 0.832 O
0.998 0.987 0.327 O
```

---

Q) DFT (PBE-GGA) results for Rb2Cu4H5S4O20 after structural relaxation.

**M_tot**: 3.01 μB per cell
**Space-group type**: P-1

Geometry as POSCAR:
```
Rb2Cu4H5S4O20
1.0
7.043 0.000 0.000
0.247 8.022 0.000
1.842 0.982 8.886
Rb Cu H S O
2 4 5 4 20
direct
0.000 0.000 0.000 Rb
0.500 0.500 0.500 Rb
0.010 0.391 0.398 Cu
0.256 0.771 0.257 Cu
0.744 0.229 0.743 Cu
0.990 0.609 0.602 Cu
0.136 0.497 0.813 H
0.383 0.987 0.754 H
0.500 0.000 0.000 H
0.617 0.013 0.246 H
0.864 0.503 0.187 H
0.149 0.018 0.516 S
0.356 0.482 0.074 S
0.644 0.518 0.926 S
0.851 0.982 0.484 S
0.084 0.618 0.386 O
0.139 0.007 0.678 O
0.150 0.594 0.737 O
0.202 0.182 0.432 O
0.253 0.373 0.001 O
0.262 0.876 0.449 O
0.266 0.657 0.074 O
0.398 0.423 0.221 O
0.448 0.933 0.128 O
0.491 0.934 0.796 O
0.509 0.066 0.204 O
0.552 0.067 0.872 O
0.602 0.577 0.779 O
0.734 0.343 0.926 O
0.738 0.124 0.551 O
0.747 0.627 0.999 O
0.798 0.818 0.568 O
0.850 0.406 0.263 O
0.861 0.993 0.322 O
0.916 0.382 0.614 O
```

---

Relative to the most stable one, in kJ/mol of atoms, the structures come out at P) 0.0; Q) 30.0.

---

P) DFT (PBE-GGA) results for CuH10SO9 after structural relaxation.

**M_tot**: 1.15 μB per cell
**Space-group type**: P-1

Geometry as POSCAR:
```
CuH10SO9
1.0
6.706 0.000 0.000
2.084 6.520 0.000
1.669 2.283 11.200
Cu H S O
2 20 2 18
direct
0.000 0.000 0.000 Cu
0.000 0.500 0.500 Cu
0.047 0.174 0.422 H
0.096 0.629 0.061 H
0.112 0.827 0.243 H
0.156 0.243 0.653 H
0.202 0.021 0.178 H
0.410 0.862 0.989 H
0.417 0.917 0.925 H
0.431 0.686 0.838 H
0.431 0.945 0.370 H
0.435 0.759 0.608 H
0.565 0.241 0.392 H
0.569 0.055 0.630 H
0.569 0.314 0.162 H
0.583 0.083 0.075 H
0.590 0.138 0.011 H
0.798 0.979 0.822 H
0.844 0.757 0.347 H
0.888 0.173 0.757 H
0.904 0.371 0.939 H
0.953 0.826 0.578 H
0.380 0.373 0.230 S
0.620 0.627 0.770 S
0.011 0.291 0.631 O
0.049 0.729 0.988 O
0.167 0.899 0.163 O
0.217 0.514 0.767 O
0.237 0.281 0.187 O
0.275 0.367 0.851 O
0.406 0.674 0.446 O
0.469 0.196 0.353 O
0.480 0.800 0.353 O
0.520 0.200 0.647 O
0.531 0.804 0.647 O
0.594 0.326 0.554 O
0.725 0.633 0.149 O
0.763 0.719 0.813 O
0.783 0.486 0.233 O
0.833 0.101 0.837 O
0.951 0.271 0.012 O
0.989 0.709 0.369 O
```

---

Q) DFT (PBE-GGA) results for CuH10SO9 after structural relaxation.

**M_tot**: 4.00 μB per cell
**Space-group type**: P-1

Geometry as POSCAR:
```
CuH10SO9
1.0
5.880 0.000 0.000
-0.866 6.746 0.000
-2.100 -2.454 11.413
Cu H S O
2 20 2 18
direct
0.000 0.000 0.000 Cu
0.000 0.000 0.500 Cu
0.023 0.324 0.448 H
0.032 0.835 0.725 H
0.035 0.325 0.946 H
0.050 0.711 0.830 H
0.269 0.137 0.234 H
0.334 0.211 0.069 H
0.417 0.593 0.328 H
0.449 0.283 0.087 H
0.471 0.750 0.684 H
0.497 0.000 0.739 H
0.503 0.000 0.261 H
0.529 0.250 0.316 H
0.551 0.717 0.913 H
0.583 0.407 0.672 H
0.666 0.789 0.931 H
0.731 0.863 0.766 H
0.950 0.289 0.170 H
0.965 0.675 0.054 H
0.968 0.165 0.275 H
0.977 0.676 0.552 H
0.264 0.341 0.739 S
0.736 0.659 0.261 S
0.020 0.175 0.196 O
0.047 0.252 0.652 O
0.060 0.809 0.596 O
0.089 0.778 0.045 O
0.229 0.500 0.831 O
0.397 0.192 0.781 O
0.422 0.119 0.288 O
0.437 0.464 0.669 O
0.453 0.074 0.517 O
0.547 0.926 0.483 O
0.563 0.536 0.331 O
0.578 0.881 0.712 O
0.603 0.808 0.219 O
0.771 0.500 0.169 O
0.911 0.222 0.955 O
0.940 0.191 0.404 O
0.953 0.748 0.348 O
0.980 0.825 0.804 O
```

---

Relative to the most stable one, in kJ/mol of atoms, the structures come out at P) 49.4; Q) 0.0.